Record 1
The following is a DFT calculation (r2SCAN) of a geometry-optimized NaMg2S3O12 structure.

Raw total energy in eV per atom: -7.922
Magnetization in μB per cell: 2.00
Calculated formation energy in meV per atom: -1940

Unit cell a=8.5760 b=8.5760 c=8.8246 alpha=119.02 beta=119.02 gamma=59.98
With the nearest neighbours (Å) after each atom.
Atoms (fractional coordinates):
1 Na 0.0000 0.5000 0.0000  6 O 2.42-2.43
2 Na 0.5000 0.0000 0.5000  6 O 2.42-2.43
3 Mg 0.1484 0.6483 0.4437  6 O 2.01-2.08
4 Mg 0.3517 0.8516 0.0563  6 O 2.01-2.08
5 Mg 0.6483 0.1484 0.9437  6 O 2.01-2.08
6 Mg 0.8516 0.3517 0.5563  6 O 2.01-2.08
7 S 0.0452 0.9548 0.2500  4 O 1.45-1.48
8 S 0.2496 0.4556 0.7513  4 O 1.45-1.48
9 S 0.4556 0.2496 0.2513  4 O 1.45-1.48
10 S 0.5444 0.7504 0.7487  4 O 1.45-1.48
11 S 0.7504 0.5444 0.2487  4 O 1.45-1.48
12 S 0.9548 0.0452 0.7500  4 O 1.45-1.48
13 O 0.0110 0.1084 0.4152  1 S 1.45
14 O 0.0694 0.7731 0.2535  1 S 1.48
15 O 0.0879 0.4301 0.7444  1 S 1.48
16 O 0.1084 0.0110 0.9152  1 S 1.45
17 O 0.2064 0.4915 0.5878  1 S 1.45
18 O 0.2269 0.9306 0.2465  1 S 1.48
19 O 0.2741 0.4108 0.2549  1 S 1.48
20 O 0.2934 0.6089 0.9179  1 S 1.45
21 O 0.3911 0.7066 0.5821  1 S 1.45
22 O 0.4108 0.2741 0.7549  1 S 1.48
23 O 0.4301 0.0879 0.2444  1 S 1.48
24 O 0.4915 0.2064 0.0878  1 S 1.45
25 O 0.5085 0.7936 0.9122  1 S 1.45
26 O 0.5699 0.9121 0.7556  1 S 1.48
27 O 0.5892 0.7259 0.2451  1 S 1.48
28 O 0.6089 0.2934 0.4179  1 S 1.45
29 O 0.7066 0.3911 0.0821  1 S 1.45
30 O 0.7259 0.5892 0.7451  1 S 1.48
31 O 0.7731 0.0694 0.7535  1 S 1.48
32 O 0.7936 0.5085 0.4122  1 S 1.45
33 O 0.8916 0.9890 0.0848  1 S 1.45
34 O 0.9121 0.5699 0.2556  1 S 1.48
35 O 0.9306 0.2269 0.7465  1 S 1.48
36 O 0.9890 0.8916 0.5848  1 S 1.45

***

Record 2
The following is a DFT calculation (r2SCAN) of a geometry-optimized Na6MgS4O16 structure.

Raw total energy in eV per atom: -7.715
Magnetization in μB per cell: 0.00
Calculated formation energy in meV per atom: -2039

Unit cell a=9.6663 b=9.1316 c=8.0743 alpha=90.00 beta=113.13 gamma=90.00
With the nearest neighbours (Å) after each atom.
Atoms (fractional coordinates):
1 Na 0.0558 0.1515 0.4079  5 O 2.34-2.41
2 Na 0.0558 0.3485 0.9079  5 O 2.34-2.41
3 Na 0.1859 0.0142 0.0351  6 O 2.30-2.45
4 Na 0.1859 0.4858 0.5351  6 O 2.30-2.45
5 Na 0.3871 0.6365 0.3176  4 O 2.30-2.48
6 Na 0.3871 0.8635 0.8176  4 O 2.30-2.48
7 Na 0.6129 0.1365 0.1824  4 O 2.30-2.48
8 Na 0.6129 0.3635 0.6824  4 O 2.30-2.48
9 Na 0.8141 0.5142 0.4649  6 O 2.30-2.45
10 Na 0.8141 0.9858 0.9649  6 O 2.30-2.45
11 Na 0.9442 0.6515 0.0921  5 O 2.34-2.41
12 Na 0.9442 0.8485 0.5921  5 O 2.34-2.41
13 Mg 0.5000 0.0000 0.5000  6 O 2.06-2.08
14 Mg 0.5000 0.5000 0.0000  6 O 2.06-2.08
15 S 0.1605 0.6486 0.8476  4 O 1.46-1.49
16 S 0.1605 0.8514 0.3476  4 O 1.46-1.49
17 S 0.3581 0.1937 0.7787  4 O 1.47-1.49
18 S 0.3581 0.3063 0.2787  4 O 1.47-1.49
19 S 0.6419 0.6937 0.7213  4 O 1.47-1.49
20 S 0.6419 0.8063 0.2213  4 O 1.47-1.49
21 S 0.8395 0.1485 0.6524  4 O 1.46-1.49
22 S 0.8395 0.3514 0.1524  4 O 1.46-1.49
23 O 0.0345 0.6031 0.6808  1 S 1.48
24 O 0.0345 0.8969 0.1808  1 S 1.48
25 O 0.1452 0.5843 0.0055  1 S 1.46
26 O 0.1452 0.9157 0.5055  1 S 1.46
27 O 0.1663 0.6907 0.3610  1 S 1.47
28 O 0.1663 0.8093 0.8610  1 S 1.47
29 O 0.2075 0.2427 0.1860  1 S 1.47
30 O 0.2075 0.2573 0.6860  1 S 1.47
31 O 0.3012 0.5961 0.8316  1 S 1.49
32 O 0.3012 0.9039 0.3316  1 S 1.49
33 O 0.3641 0.1025 0.9319  1 S 1.47
34 O 0.3641 0.3975 0.4319  1 S 1.47
35 O 0.3996 0.1022 0.6550  1 S 1.47
36 O 0.3996 0.3978 0.1550  1 S 1.47
37 O 0.4707 0.1865 0.3460  1 S 1.49
38 O 0.4707 0.3135 0.8460  1 S 1.49
39 O 0.5293 0.6865 0.1540  1 S 1.49
40 O 0.5293 0.8135 0.6540  1 S 1.49
41 O 0.6004 0.6022 0.8450  1 S 1.47
42 O 0.6004 0.8978 0.3450  1 S 1.47
43 O 0.6359 0.6025 0.5681  1 S 1.47
44 O 0.6359 0.8975 0.0681  1 S 1.47
45 O 0.6988 0.0961 0.6684  1 S 1.49
46 O 0.6988 0.4039 0.1684  1 S 1.49
47 O 0.7925 0.7427 0.3140  1 S 1.47
48 O 0.7925 0.7573 0.8140  1 S 1.47
49 O 0.8337 0.1907 0.1390  1 S 1.47
50 O 0.8337 0.3093 0.6390  1 S 1.47
51 O 0.8548 0.0843 0.4945  1 S 1.46
52 O 0.8548 0.4157 0.9945  1 S 1.46
53 O 0.9655 0.1031 0.8192  1 S 1.48
54 O 0.9655 0.3969 0.3192  1 S 1.48

***

Record 3
The following is a DFT calculation (r2SCAN) of a geometry-optimized NaMg14TiO16 structure.

Raw total energy in eV per atom: -8.237
Magnetization in μB per cell: 1.00
Calculated formation energy in meV per atom: -2911

Unit cell a=8.4655 b=8.4655 c=4.2271 alpha=90.00 beta=90.00 gamma=90.00
With the nearest neighbours (Å) after each atom.
Atoms (fractional coordinates):
1 Na 0.0000 0.0000 0.0000  6 O 2.11-2.25
2 Mg 0.0000 0.2450 0.5000  6 O 2.07-2.16
3 Mg 0.0000 0.5000 0.0000  6 O 1.99-2.18
4 Mg 0.0000 0.7550 0.5000  6 O 2.07-2.16
5 Mg 0.2435 0.2435 0.0000  6 O 2.07-2.17
6 Mg 0.2435 0.7565 0.0000  6 O 2.07-2.17
7 Mg 0.2442 0.5000 0.5000  6 O 2.07-2.17
8 Mg 0.2450 0.0000 0.5000  6 O 2.07-2.16
9 Mg 0.5000 0.0000 0.0000  6 O 1.99-2.18
10 Mg 0.5000 0.2442 0.5000  6 O 2.07-2.17
11 Mg 0.5000 0.7558 0.5000  6 O 2.07-2.17
12 Mg 0.7550 0.0000 0.5000  6 O 2.07-2.16
13 Mg 0.7558 0.5000 0.5000  6 O 2.07-2.17
14 Mg 0.7565 0.2435 0.0000  6 O 2.07-2.17
15 Mg 0.7565 0.7565 0.0000  6 O 2.07-2.17
16 Ti 0.5000 0.5000 0.0000  6 O 2.05-2.11
17 O 0.0000 0.0000 0.5000  4 Mg 2.07, 2 Na 2.11
18 O 0.0000 0.2653 0.0000  5 Mg 1.99-2.12
19 O 0.0000 0.5000 0.5000  6 Mg 2.07-2.16
20 O 0.0000 0.7347 0.0000  5 Mg 1.99-2.12
21 O 0.2521 0.2521 0.5000  6 Mg 2.10-2.14
22 O 0.2521 0.7479 0.5000  6 Mg 2.10-2.14
23 O 0.2576 0.5000 0.0000  1 Ti 2.05, 5 Mg 2.12-2.18
24 O 0.2653 0.0000 0.0000  5 Mg 1.99-2.12
25 O 0.5000 0.0000 0.5000  6 Mg 2.07-2.16
26 O 0.5000 0.2576 0.0000  1 Ti 2.05, 5 Mg 2.12-2.18
27 O 0.5000 0.5000 0.5000  2 Ti 2.11, 4 Mg 2.17
28 O 0.5000 0.7424 0.0000  1 Ti 2.05, 5 Mg 2.12-2.18
29 O 0.7347 0.0000 0.0000  5 Mg 1.99-2.12
30 O 0.7424 0.5000 0.0000  1 Ti 2.05, 5 Mg 2.12-2.18
31 O 0.7479 0.2521 0.5000  6 Mg 2.10-2.14
32 O 0.7479 0.7479 0.5000  6 Mg 2.10-2.14

***

Record 4
The following is a DFT calculation (r2SCAN) of a geometry-optimized NaMg2V3O10 structure.

Raw total energy in eV per atom: -9.796
Magnetization in μB per cell: 0.00
Calculated formation energy in meV per atom: -2677

Unit cell a=6.7395 b=6.7673 c=9.5998 alpha=104.82 beta=100.34 gamma=101.83
With the nearest neighbours (Å) after each atom.
Atoms (fractional coordinates):
1 Na 0.1415 0.0183 0.3658  5 O 2.40-2.60
2 Na 0.8585 0.9817 0.6342  5 O 2.40-2.60
3 Mg 0.2570 0.4309 0.7048  6 O 2.02-2.16
4 Mg 0.2901 0.8165 0.9816  6 O 2.02-2.18
5 Mg 0.7099 0.1835 0.0184  6 O 2.02-2.18
6 Mg 0.7430 0.5691 0.2952  6 O 2.02-2.16
7 V 0.2701 0.3376 0.0453  3 O 1.66-1.72
8 V 0.2729 0.5725 0.3857  4 O 1.66-1.81
9 V 0.3877 0.9517 0.6908  4 O 1.68-1.81
10 V 0.6123 0.0483 0.3092  4 O 1.68-1.81
11 V 0.7271 0.4275 0.6143  4 O 1.66-1.81
12 V 0.7299 0.6624 0.9547  3 O 1.66-1.72
13 O 0.0226 0.2394 0.0418  1 V 1.66
14 O 0.0568 0.6350 0.3213  1 V 1.66
15 O 0.2225 0.3946 0.4762  1 V 1.67
16 O 0.2266 0.1060 0.6529  1 V 1.71
17 O 0.2732 0.7561 0.7556  1 V 1.71
18 O 0.2876 0.4978 0.9329  1 V 1.72
19 O 0.3687 0.9104 0.2089  1 V 1.68
20 O 0.3722 0.1307 0.9852  1 V 1.70
21 O 0.4053 0.4810 0.2430  2 V 1.81-1.86
22 O 0.4352 0.8071 0.5188  2 V 1.76-1.81
23 O 0.5648 0.1929 0.4812  2 V 1.76-1.81
24 O 0.5947 0.5190 0.7570  2 V 1.81-1.86
25 O 0.6278 0.8693 0.0148  1 V 1.70
26 O 0.6313 0.0896 0.7911  1 V 1.68
27 O 0.7124 0.5022 0.0671  1 V 1.72
28 O 0.7268 0.2439 0.2444  1 V 1.71
29 O 0.7734 0.8940 0.3471  1 V 1.71
30 O 0.7775 0.6054 0.5238  1 V 1.67
31 O 0.9432 0.3650 0.6787  1 V 1.66
32 O 0.9774 0.7606 0.9582  1 V 1.66

***

Record 5
The following is a DFT calculation (r2SCAN) of a geometry-optimized Mg3Nb6O11 structure.

Raw total energy in eV per atom: -13.945
Magnetization in μB per cell: 0.00
Calculated formation energy in meV per atom: -2614

Unit cell a=6.0890 b=6.0890 c=7.4981 alpha=90.00 beta=90.00 gamma=120.00
With the nearest neighbours (Å) after each atom.
Atoms (fractional coordinates):
1 Mg 0.0000 0.0000 0.0000  6 O 2.09
2 Mg 0.3333 0.6667 0.0761  4 O 1.97-2.00
3 Mg 0.6667 0.3333 0.9239  4 O 1.97-2.00
4 Nb 0.1542 0.3084 0.6535  5 O 2.10-2.24
5 Nb 0.1542 0.8458 0.6535  5 O 2.10-2.24
6 Nb 0.3084 0.1542 0.3465  5 O 2.10-2.24
7 Nb 0.6916 0.8458 0.6535  5 O 2.10-2.24
8 Nb 0.8458 0.1542 0.3465  5 O 2.10-2.24
9 Nb 0.8458 0.6916 0.3465  5 O 2.10-2.24
10 O 0.0000 0.5000 0.5000  4 Nb 2.16
11 O 0.1562 0.3124 0.1716  2 Mg 2.00-2.09, 2 Nb 2.10
12 O 0.1562 0.8438 0.1716  2 Mg 2.00-2.09, 2 Nb 2.10
13 O 0.3124 0.1562 0.8284  2 Mg 2.00-2.09, 2 Nb 2.10
14 O 0.3333 0.6667 0.8135  1 Mg 1.97
15 O 0.5000 0.0000 0.5000  4 Nb 2.16
16 O 0.5000 0.5000 0.5000  4 Nb 2.16
17 O 0.6667 0.3333 0.1865  1 Mg 1.97
18 O 0.6876 0.8438 0.1716  2 Mg 2.00-2.09, 2 Nb 2.10
19 O 0.8438 0.1562 0.8284  2 Mg 2.00-2.09, 2 Nb 2.10
20 O 0.8438 0.6876 0.8284  2 Mg 2.00-2.09, 2 Nb 2.10

***

Record 6
The following is a DFT calculation (r2SCAN) of a geometry-optimized MgNb2O6 structure.

Raw total energy in eV per atom: -12.822
Magnetization in μB per cell: 0.00
Calculated formation energy in meV per atom: -2881

Unit cell a=14.2946 b=5.7458 c=5.0627 alpha=90.00 beta=90.00 gamma=90.00
With the nearest neighbours (Å) after each atom.
Atoms (fractional coordinates):
1 Mg 0.0000 0.1644 0.2500  6 O 2.07-2.12
2 Mg 0.0000 0.8356 0.7500  6 O 2.07-2.12
3 Mg 0.5000 0.3356 0.7500  6 O 2.07-2.12
4 Mg 0.5000 0.6644 0.2500  6 O 2.07-2.12
5 Nb 0.1593 0.3152 0.7484  3 O 1.83-1.97
6 Nb 0.1593 0.6848 0.2484  3 O 1.83-1.97
7 Nb 0.3407 0.1848 0.2484  3 O 1.83-1.97
8 Nb 0.3407 0.8152 0.7484  3 O 1.83-1.97
9 Nb 0.6593 0.1848 0.2516  3 O 1.83-1.97
10 Nb 0.6593 0.8152 0.7516  3 O 1.83-1.97
11 Nb 0.8407 0.3152 0.7516  3 O 1.83-1.97
12 Nb 0.8407 0.6848 0.2516  3 O 1.83-1.97
13 O 0.0786 0.1133 0.5879  1 Nb 1.83
14 O 0.0786 0.8867 0.0879  1 Nb 1.83
15 O 0.0950 0.3939 0.0734  2 Nb 1.94-2.10, 1 Mg 2.09
16 O 0.0950 0.6061 0.5734  2 Nb 1.94-2.10, 1 Mg 2.09
17 O 0.2442 0.3768 0.4205  2 Nb 1.97-2.09
18 O 0.2442 0.6232 0.9205  2 Nb 1.97-2.09
19 O 0.2558 0.1232 0.9205  2 Nb 1.97-2.09
20 O 0.2558 0.8768 0.4205  2 Nb 1.97-2.09
21 O 0.4050 0.1061 0.5734  2 Nb 1.94-2.10, 1 Mg 2.09
22 O 0.4050 0.8939 0.0734  2 Nb 1.94-2.10, 1 Mg 2.09
23 O 0.4214 0.3867 0.0879  1 Nb 1.83
24 O 0.4214 0.6133 0.5879  1 Nb 1.83
25 O 0.5786 0.3867 0.4121  1 Nb 1.83
26 O 0.5786 0.6133 0.9121  1 Nb 1.83
27 O 0.5950 0.1061 0.9266  2 Nb 1.94-2.10, 1 Mg 2.09
28 O 0.5950 0.8939 0.4266  2 Nb 1.94-2.10, 1 Mg 2.09
29 O 0.7442 0.1232 0.5795  2 Nb 1.97-2.09
30 O 0.7442 0.8768 0.0795  2 Nb 1.97-2.09
31 O 0.7558 0.3768 0.0795  2 Nb 1.97-2.09
32 O 0.7558 0.6232 0.5795  2 Nb 1.97-2.09
33 O 0.9050 0.3939 0.4266  2 Nb 1.94-2.10, 1 Mg 2.09
34 O 0.9050 0.6061 0.9266  2 Nb 1.94-2.10, 1 Mg 2.09
35 O 0.9214 0.1133 0.9121  1 Nb 1.83
36 O 0.9214 0.8867 0.4121  1 Nb 1.83

***

The highest calculated formation energy belongs to which entry?
NaMg2S3O12

***

Among the records above, which one has the highest raw total energy?
Na6MgS4O16

***

Look up the raw total energy of the fourth one.
-9.796 eV per atom